(1)
{
  "formula": "Ca3LaFe2Mo2O12",
  "functional": "PBE with a Hubbard U",
  "state": "relaxed",
  "delta_e_f_mev_per_atom": -2452,
  "total_energy_ha_per_atom": -0.2551,
  "energy_corrected_mp2020_ev_per_atom": -7.900,
  "m_tot_mub_per_atom": 0.6500,
  "space_group": "P1 (1)",
  "lattice": [[5.637, 0.095, 0.478], [0.086, 5.474, -0.297], [0.808, -0.436, 9.853]],
  "species": ["Ca", "Ca", "Ca", "La", "Fe", "Fe", "Mo", "Mo", "O", "O", "O", "O", "O", "O", "O", "O", "O", "O", "O", "O"],
  "fractional_positions": [[0.452, 0.609, 0.793], [0.019, 0.956, 0.255], [0.519, 0.453, 0.217], [0.941, 0.077, 0.698], [0.917, 0.471, 0.457], [0.603, 0.925, 0.041], [0.085, 0.419, 0.064], [0.488, 0.025, 0.486], [0.175, 0.196, 0.465], [0.826, 0.186, 0.106], [0.795, 0.820, 0.482], [0.370, 0.649, 0.038], [0.336, 0.884, 0.642], [0.820, 0.692, 0.113], [0.678, 0.253, 0.386], [0.122, 0.368, 0.873], [0.318, 0.153, 0.112], [0.760, 0.413, 0.643], [0.675, 0.918, 0.852], [0.101, 0.535, 0.279]]
}



(2)
{
  "formula": "NaCaLaFeO6",
  "functional": "PBE with a Hubbard U",
  "state": "relaxed",
  "delta_e_f_mev_per_atom": -2181,
  "total_energy_ha_per_atom": -0.2273,
  "energy_corrected_mp2020_ev_per_atom": -6.823,
  "m_tot_mub_per_atom": 0.2000,
  "space_group": "F-43m (216)",
  "lattice": [[0.000, -4.031, -4.031], [4.031, 0.000, -4.031], [4.031, -4.031, 0.000]],
  "species": ["Na", "Ca", "La", "Fe", "O", "O", "O", "O", "O", "O"],
  "fractional_positions": [[0.250, 0.250, 0.250], [0.000, 0.000, 0.000], [0.750, 0.750, 0.750], [0.500, 0.500, 0.500], [0.729, 0.271, 0.271], [0.271, 0.729, 0.729], [0.729, 0.271, 0.729], [0.271, 0.729, 0.271], [0.729, 0.729, 0.271], [0.271, 0.271, 0.729]]
}



(3)
{
  "formula": "CaLaFeNiO6",
  "functional": "PBE with a Hubbard U",
  "state": "relaxed",
  "delta_e_f_mev_per_atom": -2353,
  "total_energy_ha_per_atom": -0.2407,
  "e_above_lowest_polymorph_ev_per_atom": 0.000,
  "energy_corrected_mp2020_ev_per_atom": -7.441,
  "m_tot_mub_per_atom": 0.5000,
  "space_group": "Pc (7)",
  "lattice": [[5.474, 0.000, 0.000], [0.000, 5.459, 0.006], [0.000, 0.014, 7.712]],
  "species": ["Ca", "Ca", "La", "La", "Fe", "Fe", "Ni", "Ni", "O", "O", "O", "O", "O", "O", "O", "O", "O", "O", "O", "O"],
  "fractional_positions": [[0.541, 0.509, 0.250], [0.959, 0.009, 0.750], [0.029, 0.994, 0.250], [0.471, 0.494, 0.750], [0.500, 0.000, 0.000], [0.000, 0.500, 0.500], [0.498, 0.000, 0.499], [0.002, 0.500, 0.999], [0.013, 0.578, 0.745], [0.221, 0.208, 0.958], [0.210, 0.221, 0.541], [0.290, 0.721, 0.041], [0.279, 0.708, 0.458], [0.487, 0.078, 0.245], [0.517, 0.931, 0.755], [0.724, 0.285, 0.538], [0.717, 0.274, 0.964], [0.783, 0.774, 0.464], [0.776, 0.785, 0.038], [0.983, 0.431, 0.255]]
}



(4)
{
  "formula": "CaLaFeNiO6",
  "functional": "PBE with a Hubbard U",
  "state": "relaxed",
  "delta_e_f_mev_per_atom": -2349,
  "total_energy_ha_per_atom": -0.2405,
  "e_above_lowest_polymorph_ev_per_atom": 0.004,
  "energy_corrected_mp2020_ev_per_atom": -7.436,
  "m_tot_mub_per_atom": 0.5000,
  "space_group": "P1 (1)",
  "lattice": [[-3.415, 4.240, 0.688], [-4.192, -3.467, 0.546], [1.210, -0.312, 7.606]],
  "species": ["Ca", "Ca", "La", "La", "Fe", "Fe", "Ni", "Ni", "O", "O", "O", "O", "O", "O", "O", "O", "O", "O", "O", "O"],
  "fractional_positions": [[0.543, 0.507, 0.248], [0.957, 0.012, 0.752], [0.032, 0.991, 0.248], [0.468, 0.496, 0.752], [0.000, 0.499, 0.501], [0.501, 0.000, 0.000], [0.499, 0.001, 0.499], [0.001, 0.499, 0.999], [0.017, 0.587, 0.738], [0.487, 0.076, 0.244], [0.222, 0.208, 0.959], [0.278, 0.696, 0.454], [0.201, 0.224, 0.545], [0.291, 0.721, 0.040], [0.517, 0.933, 0.756], [0.978, 0.423, 0.262], [0.726, 0.296, 0.543], [0.775, 0.785, 0.036], [0.715, 0.273, 0.965], [0.792, 0.771, 0.459]]
}



(5)
{
  "formula": "CaLa2FeO6",
  "functional": "PBE with a Hubbard U",
  "state": "relaxed",
  "delta_e_f_mev_per_atom": -3009,
  "total_energy_ha_per_atom": -0.2710,
  "e_above_lowest_polymorph_ev_per_atom": 0.000,
  "energy_corrected_mp2020_ev_per_atom": -8.013,
  "m_tot_mub_per_atom": 0.0000,
  "lattice": [[-2.967, -3.978, 3.249], [-8.530, 4.266, 3.125], [-6.577, -2.295, -7.217]],
  "species": ["Ca", "Ca", "Ca", "Ca", "La", "La", "La", "La", "La", "La", "La", "La", "Fe", "Fe", "Fe", "Fe", "O", "O", "O", "O", "O", "O", "O", "O", "O", "O", "O", "O", "O", "O", "O", "O", "O", "O", "O", "O", "O", "O", "O", "O"],
  "fractional_positions": [[0.875, 0.250, 0.625], [0.125, 0.750, 0.375], [0.375, 0.250, 0.125], [0.625, 0.750, 0.875], [0.336, 0.377, 0.434], [0.586, 0.877, 0.184], [0.836, 0.377, 0.934], [0.086, 0.877, 0.684], [0.414, 0.123, 0.816], [0.664, 0.623, 0.566], [0.914, 0.123, 0.316], [0.164, 0.623, 0.066], [0.500, 0.000, 0.500], [0.750, 0.500, 0.250], [0.000, 0.000, 0.000], [0.250, 0.500, 0.750], [0.769, 0.063, 0.580], [0.019, 0.563, 0.329], [0.269, 0.063, 0.080], [0.519, 0.563, 0.829], [0.972, 0.158, 0.850], [0.222, 0.658, 0.600], [0.471, 0.158, 0.350], [0.722, 0.658, 0.100], [0.486, 0.377, 0.653], [0.736, 0.877, 0.403], [0.986, 0.377, 0.153], [0.236, 0.877, 0.903], [0.981, 0.437, 0.670], [0.231, 0.937, 0.421], [0.481, 0.437, 0.170], [0.731, 0.937, 0.921], [0.264, 0.123, 0.597], [0.514, 0.623, 0.347], [0.764, 0.123, 0.097], [0.014, 0.623, 0.847], [0.778, 0.342, 0.400], [0.028, 0.842, 0.150], [0.278, 0.342, 0.900], [0.528, 0.842, 0.650]]
}



(6)
{
  "formula": "CaLa2FeO6",
  "functional": "PBE with a Hubbard U",
  "state": "relaxed",
  "delta_e_f_mev_per_atom": -3003,
  "total_energy_ha_per_atom": -0.2708,
  "e_above_lowest_polymorph_ev_per_atom": 0.006,
  "energy_corrected_mp2020_ev_per_atom": -8.006,
  "m_tot_mub_per_atom": 0.0000,
  "space_group": "P-1 (2)",
  "lattice": [[5.106, -0.048, 2.758], [1.683, 4.785, 2.662], [-1.657, -4.994, 8.547]],
  "species": ["Ca", "Ca", "La", "La", "La", "La", "Fe", "Fe", "O", "O", "O", "O", "O", "O", "O", "O", "O", "O", "O", "O"],
  "fractional_positions": [[0.494, 0.749, 0.250], [0.506, 0.251, 0.750], [0.760, 0.143, 0.380], [0.775, 0.638, 0.880], [0.225, 0.362, 0.120], [0.240, 0.857, 0.620], [0.000, 0.500, 0.500], [0.000, 0.000, 0.000], [0.324, 0.860, 0.065], [0.345, 0.357, 0.566], [0.794, 0.291, 0.161], [0.804, 0.795, 0.660], [0.128, 0.711, 0.387], [0.140, 0.229, 0.889], [0.655, 0.643, 0.434], [0.677, 0.140, 0.935], [0.860, 0.771, 0.111], [0.872, 0.289, 0.613], [0.196, 0.205, 0.340], [0.206, 0.709, 0.839]]
}



(7)
{
  "formula": "CaLa3Fe4O12",
  "functional": "PBE with a Hubbard U",
  "state": "relaxed",
  "delta_e_f_mev_per_atom": -2684,
  "total_energy_ha_per_atom": -0.2692,
  "energy_corrected_mp2020_ev_per_atom": -8.188,
  "m_tot_mub_per_atom": 0.9500,
  "space_group": "Pm (6)",
  "lattice": [[7.864, 0.000, 0.000], [0.000, 5.559, 0.000], [0.000, 0.006, 5.568]],
  "species": ["Ca", "La", "La", "La", "Fe", "Fe", "Fe", "Fe", "O", "O", "O", "O", "O", "O", "O", "O", "O", "O", "O", "O"],
  "fractional_positions": [[0.000, 0.492, 0.468], [0.000, 0.007, 0.970], [0.500, 0.507, 0.530], [0.500, 0.995, 0.031], [0.246, 0.001, 0.500], [0.754, 0.500, 0.001], [0.754, 0.001, 0.500], [0.246, 0.500, 0.001], [0.787, 0.213, 0.213], [0.208, 0.284, 0.715], [0.292, 0.784, 0.784], [0.706, 0.720, 0.281], [0.708, 0.784, 0.784], [0.294, 0.720, 0.281], [0.213, 0.213, 0.213], [0.792, 0.284, 0.715], [0.000, 0.577, 0.022], [0.000, 0.917, 0.517], [0.500, 0.427, 0.986], [0.500, 0.075, 0.489]]
}



(8)
{
  "formula": "CaLa2FeO6",
  "functional": "PBE with a Hubbard U",
  "state": "relaxed",
  "delta_e_f_mev_per_atom": -3007,
  "total_energy_ha_per_atom": -0.2709,
  "e_above_lowest_polymorph_ev_per_atom": 0.002,
  "energy_corrected_mp2020_ev_per_atom": -8.010,
  "m_tot_mub_per_atom": 0.0000,
  "space_group": "P1 (1)",
  "lattice": [[-1.697, -4.705, 3.019], [7.562, 9.509, 14.174], [-3.393, 4.785, 0.176]],
  "species": ["Ca", "Ca", "Ca", "Ca", "La", "La", "La", "La", "La", "La", "La", "La", "Fe", "Fe", "Fe", "Fe", "O", "O", "O", "O", "O", "O", "O", "O", "O", "O", "O", "O", "O", "O", "O", "O", "O", "O", "O", "O", "O", "O", "O", "O"],
  "fractional_positions": [[0.125, 0.375, 0.875], [0.870, 0.625, 0.121], [0.625, 0.875, 0.375], [0.380, 0.125, 0.629], [0.187, 0.572, 0.814], [0.941, 0.822, 0.067], [0.698, 0.072, 0.323], [0.444, 0.321, 0.570], [0.064, 0.178, 0.936], [0.807, 0.429, 0.181], [0.552, 0.678, 0.427], [0.308, 0.928, 0.682], [0.496, 0.500, 0.497], [0.246, 0.750, 0.747], [0.003, 0.000, 0.003], [0.754, 0.250, 0.253], [0.824, 0.312, 0.993], [0.568, 0.562, 0.238], [0.321, 0.812, 0.489], [0.078, 0.062, 0.744], [0.032, 0.311, 0.545], [0.775, 0.562, 0.788], [0.528, 0.812, 0.041], [0.286, 0.061, 0.297], [0.491, 0.314, 0.189], [0.235, 0.564, 0.434], [0.989, 0.815, 0.686], [0.747, 0.065, 0.941], [0.426, 0.438, 0.758], [0.172, 0.688, 0.005], [0.928, 0.938, 0.261], [0.683, 0.188, 0.512], [0.758, 0.435, 0.562], [0.504, 0.685, 0.809], [0.259, 0.935, 0.064], [0.016, 0.186, 0.317], [0.218, 0.439, 0.206], [0.964, 0.689, 0.452], [0.721, 0.938, 0.709], [0.476, 0.188, 0.962]]
}



(9)
{
  "formula": "CaLa2Fe3O9",
  "functional": "PBE with a Hubbard U",
  "state": "relaxed",
  "delta_e_f_mev_per_atom": -2638,
  "total_energy_ha_per_atom": -0.2657,
  "energy_corrected_mp2020_ev_per_atom": -8.092,
  "m_tot_mub_per_atom": 0.9333,
  "space_group": "Pnma (62)",
  "lattice": [[5.544, 0.000, 0.000], [0.000, 7.848, 0.000], [0.000, 0.000, 16.663]],
  "species": ["Ca", "Ca", "Ca", "Ca", "La", "La", "La", "La", "La", "La", "La", "La", "Fe", "Fe", "Fe", "Fe", "Fe", "Fe", "Fe", "Fe", "Fe", "Fe", "Fe", "Fe", "O", "O", "O", "O", "O", "O", "O", "O", "O", "O", "O", "O", "O", "O", "O", "O", "O", "O", "O", "O", "O", "O", "O", "O", "O", "O", "O", "O", "O", "O", "O", "O", "O", "O", "O", "O"],
  "fractional_positions": [[0.006, 0.750, 0.345], [0.494, 0.750, 0.845], [0.994, 0.250, 0.655], [0.506, 0.250, 0.155], [0.003, 0.750, 0.008], [0.008, 0.750, 0.678], [0.492, 0.750, 0.178], [0.497, 0.750, 0.508], [0.992, 0.250, 0.322], [0.997, 0.250, 0.992], [0.503, 0.250, 0.492], [0.508, 0.250, 0.822], [0.500, 0.501, 0.332], [0.500, 0.500, 0.000], [0.500, 0.499, 0.668], [0.000, 0.000, 0.500], [0.000, 0.001, 0.168], [0.000, 0.999, 0.832], [0.500, 0.999, 0.332], [0.500, 0.000, 0.000], [0.500, 0.001, 0.668], [0.000, 0.500, 0.500], [0.000, 0.499, 0.168], [0.000, 0.501, 0.832], [0.287, 0.965, 0.429], [0.281, 0.960, 0.095], [0.288, 0.959, 0.763], [0.212, 0.541, 0.263], [0.213, 0.535, 0.929], [0.219, 0.540, 0.595], [0.712, 0.459, 0.237], [0.719, 0.460, 0.905], [0.713, 0.465, 0.571], [0.781, 0.040, 0.405], [0.787, 0.035, 0.071], [0.788, 0.041, 0.737], [0.712, 0.041, 0.237], [0.719, 0.040, 0.905], [0.713, 0.035, 0.571], [0.781, 0.460, 0.405], [0.787, 0.465, 0.071], [0.788, 0.459, 0.737], [0.287, 0.535, 0.429], [0.281, 0.540, 0.095], [0.288, 0.541, 0.763], [0.212, 0.959, 0.263], [0.213, 0.965, 0.929], [0.219, 0.960, 0.595], [0.930, 0.750, 0.496], [0.928, 0.750, 0.161], [0.922, 0.750, 0.828], [0.578, 0.750, 0.328], [0.570, 0.750, 0.996], [0.572, 0.750, 0.661], [0.078, 0.250, 0.172], [0.072, 0.250, 0.839], [0.070, 0.250, 0.504], [0.428, 0.250, 0.339], [0.430, 0.250, 0.004], [0.422, 0.250, 0.672]]
}



(10)
{
  "formula": "CaLa2FeO6",
  "functional": "PBE with a Hubbard U",
  "state": "relaxed",
  "delta_e_f_mev_per_atom": -2976,
  "total_energy_ha_per_atom": -0.2698,
  "e_above_lowest_polymorph_ev_per_atom": 0.033,
  "energy_corrected_mp2020_ev_per_atom": -7.979,
  "m_tot_mub_per_atom": 0.4000,
  "space_group": "R-3 (148)",
  "lattice": [[4.797, -2.921, 0.000], [4.797, 2.921, 0.000], [3.019, 0.000, 4.736]],
  "species": ["Ca", "La", "La", "Fe", "O", "O", "O", "O", "O", "O"],
  "fractional_positions": [[0.500, 0.500, 0.500], [0.760, 0.760, 0.760], [0.240, 0.240, 0.240], [0.000, 0.000, 0.000], [0.787, 0.320, 0.138], [0.138, 0.787, 0.320], [0.320, 0.138, 0.787], [0.213, 0.680, 0.862], [0.680, 0.862, 0.213], [0.862, 0.213, 0.680]]
}



(11)
{
  "formula": "CaLaTaFeO6",
  "functional": "PBE with a Hubbard U",
  "state": "relaxed",
  "delta_e_f_mev_per_atom": -3223,
  "total_energy_ha_per_atom": -0.3043,
  "energy_corrected_mp2020_ev_per_atom": -8.919,
  "m_tot_mub_per_atom": 0.4000,
  "lattice": [[0.000, 5.621, 0.040], [0.000, 0.058, 7.892], [11.652, 0.001, 0.000]],
  "species": ["Ca", "Ca", "Ca", "Ca", "La", "La", "La", "La", "Ta", "Ta", "Ta", "Ta", "Fe", "Fe", "Fe", "Fe", "O", "O", "O", "O", "O", "O", "O", "O", "O", "O", "O", "O", "O", "O", "O", "O", "O", "O", "O", "O", "O", "O", "O", "O"],
  "fractional_positions": [[0.515, 0.252, 0.278], [0.515, 0.252, 0.778], [0.015, 0.752, 0.472], [0.016, 0.752, 0.972], [0.986, 0.248, 0.027], [0.986, 0.248, 0.527], [0.486, 0.748, 0.223], [0.486, 0.748, 0.723], [0.000, 0.499, 0.252], [0.001, 0.499, 0.752], [0.500, 0.999, 0.498], [0.501, 0.999, 0.998], [0.000, 0.000, 0.750], [0.500, 0.500, 0.000], [0.000, 0.000, 0.250], [0.500, 0.500, 0.500], [0.603, 0.755, 0.015], [0.603, 0.756, 0.515], [0.103, 0.256, 0.235], [0.102, 0.255, 0.735], [0.211, 0.951, 0.093], [0.211, 0.951, 0.593], [0.711, 0.451, 0.157], [0.711, 0.451, 0.657], [0.184, 0.554, 0.108], [0.184, 0.553, 0.608], [0.684, 0.053, 0.142], [0.684, 0.054, 0.642], [0.902, 0.745, 0.267], [0.902, 0.745, 0.767], [0.402, 0.245, 0.483], [0.402, 0.245, 0.983], [0.287, 0.550, 0.346], [0.287, 0.549, 0.846], [0.787, 0.050, 0.404], [0.787, 0.050, 0.904], [0.311, 0.948, 0.357], [0.312, 0.947, 0.857], [0.811, 0.447, 0.393], [0.812, 0.448, 0.893]]
}



(12)
{
  "formula": "CaLaVFeO6",
  "functional": "PBE with a Hubbard U",
  "state": "relaxed",
  "delta_e_f_mev_per_atom": -2765,
  "total_energy_ha_per_atom": -0.2710,
  "e_above_lowest_polymorph_ev_per_atom": 0.124,
  "energy_corrected_mp2020_ev_per_atom": -8.183,
  "m_tot_mub_per_atom": 0.6000,
  "space_group": "F-43m (216)",
  "lattice": [[-5.343, -0.993, 0.998], [-2.995, 3.641, 2.881], [-3.888, 2.999, -2.534]],
  "species": ["Ca", "La", "V", "Fe", "O", "O", "O", "O", "O", "O"],
  "fractional_positions": [[0.750, 0.750, 0.750], [0.250, 0.250, 0.250], [0.500, 0.500, 0.500], [0.000, 0.000, 0.000], [0.747, 0.747, 0.253], [0.253, 0.747, 0.253], [0.747, 0.253, 0.253], [0.253, 0.253, 0.747], [0.747, 0.253, 0.747], [0.253, 0.747, 0.747]]
}



(13)
{
  "formula": "CaLaVFeO6",
  "functional": "PBE with a Hubbard U",
  "state": "relaxed",
  "delta_e_f_mev_per_atom": -2889,
  "total_energy_ha_per_atom": -0.2756,
  "e_above_lowest_polymorph_ev_per_atom": 0.000,
  "energy_corrected_mp2020_ev_per_atom": -8.307,
  "m_tot_mub_per_atom": 0.4000,
  "space_group": "Pc (7)",
  "lattice": [[-1.705, -2.720, 4.498], [6.524, 1.879, 3.641], [-2.412, 4.672, 1.910]],
  "species": ["Ca", "Ca", "La", "La", "V", "V", "Fe", "Fe", "O", "O", "O", "O", "O", "O", "O", "O", "O", "O", "O", "O"],
  "fractional_positions": [[0.513, 0.250, 0.540], [0.013, 0.750, 0.960], [0.989, 0.249, 0.031], [0.489, 0.749, 0.469], [0.000, 0.499, 0.501], [0.500, 0.999, 0.999], [0.999, 0.000, 0.500], [0.499, 0.500, 0.000], [0.583, 0.760, 0.015], [0.083, 0.260, 0.485], [0.216, 0.957, 0.211], [0.716, 0.457, 0.289], [0.212, 0.545, 0.216], [0.712, 0.045, 0.284], [0.925, 0.741, 0.519], [0.425, 0.241, 0.981], [0.280, 0.541, 0.717], [0.780, 0.041, 0.783], [0.283, 0.958, 0.719], [0.783, 0.458, 0.781]]
}